# 1
VASP calculation (PBE) on a geometry-optimized Sr2Pb structure.

Cell lengths 5.491, 8.496, 10.269 Å; angles 90.00, 90.00, 90.00 degrees
Element x y z (fractional)
Sr (0.750, 0.157, 0.074)
Sr (0.750, 0.657, 0.426)
Sr (0.250, 0.843, 0.926)
Pb (0.750, 0.249, 0.395)
Pb (0.750, 0.749, 0.105)
Sr (0.250, 0.981, 0.318)
Sr (0.750, 0.519, 0.818)
Sr (0.750, 0.019, 0.682)
Pb (0.250, 0.251, 0.895)
Sr (0.250, 0.481, 0.182)
Sr (0.250, 0.343, 0.574)
Pb (0.250, 0.751, 0.605)

For the formation enthalpy at 0 K, the calculation gives -540 meV/atom. The volume is 39.9 Å³/atom.

# 2
VASP calculation (PBE) on a geometry-optimized Sr2ZnPb structure.

Cell lengths 5.726, 5.726, 5.726 Å; angles 60.00, 60.00, 60.00 degrees
Element x y z (fractional)
Zn (0.000, 0.000, 0.000)
Sr (0.250, 0.250, 0.250)
Sr (0.750, 0.750, 0.750)
Pb (0.500, 0.500, 0.500)

As for the spin magnetization: 0.00 μB/cell. For the formation enthalpy at 0 K, the calculation gives -425 meV/atom. The volume is 33.2 Å³/atom.

# 3
VASP calculation (PBE) on a geometry-optimized Ta3Pb structure.

Cell lengths 4.266, 4.266, 4.266 Å; angles 90.00, 90.00, 90.00 degrees
Element x y z (fractional)
Pb (0.000, 0.000, 0.000)
Ta (0.500, 0.000, 0.500)
Ta (0.500, 0.500, 0.000)
Ta (0.000, 0.500, 0.500)

As for the spin magnetization: 0.00 μB/cell. For the formation enthalpy at 0 K, the calculation gives 339 meV/atom. The volume is 19.4 Å³/atom.

# 4
VASP calculation (PBE) on a geometry-optimized TaTcPb2 structure.

Cell lengths 4.927, 4.927, 4.927 Å; angles 60.00, 60.00, 60.00 degrees
Element x y z (fractional)
Tc (0.250, 0.250, 0.250)
Pb (0.000, 0.000, 0.000)
Pb (0.750, 0.750, 0.750)
Ta (0.500, 0.500, 0.500)

As for the spin magnetization: 0.00 μB/cell. For the formation enthalpy at 0 K, the calculation gives 727 meV/atom. The volume is 21.1 Å³/atom.

# 5
VASP calculation (PBE) on a geometry-optimized Tb5Pb3 structure.

Cell lengths 9.084, 9.084, 6.679 Å; angles 90.00, 90.00, 120.00 degrees
Element x y z (fractional)
Pb (0.606, 0.000, 0.750)
Tb (0.239, 0.239, 0.250)
Tb (0.239, 0.000, 0.750)
Tb (0.761, 0.761, 0.750)
Pb (0.606, 0.606, 0.250)
Pb (0.000, 0.606, 0.750)
Tb (0.000, 0.761, 0.250)
Tb (0.333, 0.667, 0.500)
Tb (0.667, 0.333, 0.500)
Pb (0.394, 0.394, 0.750)
Tb (0.761, 0.000, 0.250)
Pb (0.000, 0.394, 0.250)
Tb (0.333, 0.667, 0.000)
Pb (0.394, 0.000, 0.250)
Tb (0.000, 0.239, 0.750)
Tb (0.667, 0.333, 0.000)

For the formation enthalpy at 0 K, the calculation gives -543 meV/atom. The volume is 29.8 Å³/atom.

# 6
VASP calculation (PBE) on a geometry-optimized Tc3Pb structure.

Cell lengths 5.825, 5.825, 4.539 Å; angles 90.00, 90.00, 120.00 degrees
Element x y z (fractional)
Pb (0.667, 0.333, 0.250)
Tc (0.844, 0.688, 0.750)
Tc (0.844, 0.156, 0.750)
Pb (0.333, 0.667, 0.750)
Tc (0.312, 0.156, 0.750)
Tc (0.688, 0.844, 0.250)
Tc (0.156, 0.844, 0.250)
Tc (0.156, 0.312, 0.250)

As for the spin magnetization: 1.53 μB/cell. For the formation enthalpy at 0 K, the calculation gives 598 meV/atom. The volume is 16.7 Å³/atom.

# 7
VASP calculation (PBE) on a geometry-optimized TePb structure.

Cell lengths 4.691, 7.095, 8.439 Å; angles 90.00, 90.00, 90.00 degrees
Element x y z (fractional)
Te (0.750, 0.380, 0.693)
Pb (0.750, 0.775, 0.542)
Te (0.250, 0.880, 0.807)
Te (0.750, 0.120, 0.193)
Pb (0.250, 0.225, 0.458)
Pb (0.750, 0.725, 0.042)
Te (0.250, 0.620, 0.307)
Pb (0.250, 0.275, 0.958)

For the formation enthalpy at 0 K, the calculation gives -348 meV/atom. The volume is 35.1 Å³/atom.

# 8
VASP calculation (PBE) on a geometry-optimized TePb structure.

Cell lengths 4.643, 4.643, 4.643 Å; angles 60.00, 60.00, 60.00 degrees
Element x y z (fractional)
Te (0.500, 0.500, 0.500)
Pb (0.000, 0.000, 0.000)

For the formation enthalpy at 0 K, the calculation gives -406 meV/atom. The volume is 35.4 Å³/atom.

# 9
VASP calculation (PBE) on a geometry-optimized TePb3 structure.

Cell lengths 6.503, 6.503, 6.503 Å; angles 136.27, 136.27, 63.57 degrees
Element x y z (fractional)
Pb (0.750, 0.250, 0.500)
Te (0.000, 0.000, 0.000)
Pb (0.500, 0.500, 0.000)
Pb (0.250, 0.750, 0.500)

The distance to the lowest polymorph of the same formula comes out at 0.0064 eV per atom. As for the spin magnetization: 0.00 μB/cell. For the formation enthalpy at 0 K, the calculation gives -2 meV/atom. The volume is 32.4 Å³/atom.

# 10
VASP calculation (PBE) on a geometry-optimized TePb3 structure.

Cell lengths 7.067, 7.067, 5.963 Å; angles 90.00, 90.00, 120.00 degrees
Element x y z (fractional)
Pb (0.833, 0.167, 0.750)
Pb (0.665, 0.833, 0.250)
Pb (0.335, 0.167, 0.750)
Te (0.333, 0.667, 0.750)
Te (0.667, 0.333, 0.250)
Pb (0.167, 0.335, 0.250)
Pb (0.833, 0.665, 0.750)
Pb (0.167, 0.833, 0.250)

The distance to the lowest polymorph of the same formula comes out at 0.0000 eV per atom. As for the spin magnetization: 0.00 μB/cell. For the formation enthalpy at 0 K, the calculation gives -8 meV/atom. The volume is 32.2 Å³/atom.

# 11
VASP calculation (PBE) on a geometry-optimized TePb structure.

Cell lengths 4.571, 7.915, 7.972 Å; angles 90.00, 90.00, 90.00 degrees
Element x y z (fractional)
Pb (0.750, 0.749, 0.002)
Pb (0.250, 0.251, 0.998)
Te (0.750, 0.083, 0.249)
Te (0.250, 0.583, 0.251)
Te (0.250, 0.917, 0.751)
Pb (0.250, 0.249, 0.498)
Pb (0.750, 0.751, 0.502)
Te (0.750, 0.417, 0.749)

As for the spin magnetization: 0.00 μB/cell. For the formation enthalpy at 0 K, the calculation gives -370 meV/atom. The volume is 36.0 Å³/atom.

# 12
VASP calculation (PBE) on a geometry-optimized TePb structure.

Cell lengths 4.002, 4.002, 4.002 Å; angles 90.00, 90.00, 90.00 degrees
Element x y z (fractional)
Pb (0.000, 0.000, 0.000)
Te (0.500, 0.500, 0.500)

As for the spin magnetization: 0.00 μB/cell. For the formation enthalpy at 0 K, the calculation gives -178 meV/atom. The volume is 32.1 Å³/atom.

# 13
VASP calculation (PBE) on a geometry-optimized TePb structure.

Cell lengths 4.588, 4.657, 13.934 Å; angles 90.00, 90.00, 90.00 degrees
Element x y z (fractional)
Pb (0.066, 0.250, 0.848)
Te (0.442, 0.250, 0.130)
Te (0.558, 0.750, 0.870)
Pb (0.566, 0.750, 0.652)
Te (0.942, 0.750, 0.370)
Pb (0.434, 0.250, 0.348)
Pb (0.934, 0.750, 0.152)
Te (0.058, 0.250, 0.630)

As for the spin magnetization: 0.00 μB/cell. For the formation enthalpy at 0 K, the calculation gives -350 meV/atom. The volume is 37.2 Å³/atom.

# 14
VASP calculation (PBE) on a geometry-optimized Zr5TePb3 structure.

Cell lengths 8.937, 8.937, 6.160 Å; angles 90.00, 90.00, 120.00 degrees
Element x y z (fractional)
Pb (0.614, 0.614, 0.250)
Pb (0.000, 0.614, 0.750)
Zr (0.667, 0.333, 0.500)
Te (0.000, 0.000, 0.500)
Pb (0.386, 0.386, 0.750)
Pb (0.386, 0.000, 0.250)
Zr (0.720, 0.720, 0.750)
Zr (0.333, 0.667, 0.000)
Zr (0.720, 0.000, 0.250)
Zr (0.000, 0.280, 0.750)
Pb (0.614, 0.000, 0.750)
Zr (0.667, 0.333, 0.000)
Pb (0.000, 0.386, 0.250)
Zr (0.333, 0.667, 0.500)
Zr (0.280, 0.000, 0.750)
Te (0.000, 0.000, 0.000)
Zr (0.280, 0.280, 0.250)
Zr (0.000, 0.720, 0.250)

For the formation enthalpy at 0 K, the calculation gives -373 meV/atom. The volume is 23.7 Å³/atom.

# 15
VASP calculation (PBE) on a geometry-optimized Th5Pb3 structure.

Cell lengths 6.579, 9.537, 9.537 Å; angles 120.00, 90.00, 90.00 degrees
Element x y z (fractional)
Th (0.250, 0.748, 0.000)
Pb (0.250, 0.612, 0.612)
Th (0.500, 0.667, 0.333)
Pb (0.250, 0.000, 0.388)
Th (0.750, 0.000, 0.252)
Th (0.000, 0.667, 0.333)
Th (0.000, 0.333, 0.667)
Th (0.250, 0.000, 0.748)
Pb (0.750, 0.388, 0.388)
Th (0.750, 0.252, 0.000)
Th (0.250, 0.252, 0.252)
Pb (0.750, 0.612, 0.000)
Th (0.750, 0.748, 0.748)
Pb (0.750, 0.000, 0.612)
Th (0.500, 0.333, 0.667)
Pb (0.250, 0.388, 0.000)

As for the spin magnetization: 0.01 μB/cell. For the formation enthalpy at 0 K, the calculation gives -255 meV/atom. The volume is 32.4 Å³/atom.

# 16
VASP calculation (PBE) on a geometry-optimized Ti3Pb structure.

Cell lengths 5.992, 5.992, 4.805 Å; angles 90.00, 90.00, 120.00 degrees
Element x y z (fractional)
Ti (0.840, 0.160, 0.750)
Ti (0.321, 0.160, 0.750)
Ti (0.840, 0.679, 0.750)
Ti (0.679, 0.840, 0.250)
Pb (0.667, 0.333, 0.250)
Ti (0.160, 0.840, 0.250)
Pb (0.333, 0.667, 0.750)
Ti (0.160, 0.321, 0.250)

For the formation enthalpy at 0 K, the calculation gives -60 meV/atom. The volume is 18.7 Å³/atom.

# 17
VASP calculation (PBE) on a geometry-optimized Ti24Pb19 structure.

Cell lengths 5.814, 9.455, 16.356 Å; angles 89.98, 89.95, 90.04 degrees
Element x y z (fractional)
Ti (0.250, 0.263, 0.579)
Pb (0.749, 0.500, 0.834)
Ti (0.500, 0.751, 0.751)
Pb (0.000, 0.500, 0.500)
Pb (0.250, 0.803, 0.399)
Pb (0.251, 0.500, 0.166)
Ti (0.000, 0.000, 0.500)
Pb (0.251, 0.701, 0.900)
Ti (0.249, 0.500, 0.343)
Ti (0.500, 0.250, 0.751)
Pb (0.750, 0.000, 0.333)
Pb (0.250, 0.197, 0.399)
Ti (0.751, 0.500, 0.657)
Ti (0.753, 0.000, 0.158)
Ti (0.500, 0.249, 0.249)
Ti (0.752, 0.764, 0.921)
Pb (0.000, 0.000, 0.000)
Ti (0.500, 0.750, 0.249)
Ti (0.750, 0.737, 0.421)
Pb (0.749, 0.702, 0.099)
Ti (0.250, 0.737, 0.579)
Pb (0.251, 0.000, 0.199)
Pb (0.749, 0.299, 0.100)
Pb (0.250, 0.500, 0.702)
Pb (0.500, 0.500, 0.500)
Pb (0.251, 0.298, 0.901)
Pb (0.750, 0.500, 0.298)
Ti (0.500, 0.000, 0.500)
Ti (0.247, 0.000, 0.842)
Pb (0.750, 0.803, 0.601)
Pb (0.250, 0.000, 0.667)
Ti (0.000, 0.500, 0.000)
Ti (0.248, 0.236, 0.079)
Ti (0.000, 0.250, 0.250)
Ti (0.000, 0.250, 0.750)
Ti (0.500, 0.500, 0.000)
Ti (0.248, 0.764, 0.079)
Pb (0.749, 0.000, 0.801)
Ti (0.000, 0.750, 0.250)
Ti (0.752, 0.236, 0.921)
Pb (0.750, 0.197, 0.601)
Ti (0.000, 0.750, 0.750)
Ti (0.750, 0.263, 0.421)

As for the spin magnetization: 1.79 μB/cell. For the formation enthalpy at 0 K, the calculation gives -38 meV/atom. The volume is 20.9 Å³/atom.

# 18
VASP calculation (PBE) on a geometry-optimized Zr5Ti5Pb6 structure.

Cell lengths 5.780, 8.628, 8.536 Å; angles 120.36, 90.04, 89.92 degrees
Element x y z (fractional)
Zr (0.250, 0.757, 0.000)
Ti (0.750, 0.250, 0.000)
Zr (0.750, 0.998, 0.237)
Pb (0.250, 0.000, 0.402)
Pb (0.750, 0.595, 0.000)
Pb (0.250, 0.599, 0.598)
Pb (0.750, 0.007, 0.611)
Zr (0.250, 0.999, 0.765)
Pb (0.250, 0.398, 0.000)
Ti (0.500, 0.333, 0.664)
Ti (0.000, 0.334, 0.664)
Ti (0.500, 0.669, 0.336)
Ti (0.000, 0.669, 0.336)
Zr (0.250, 0.234, 0.235)
Pb (0.750, 0.396, 0.389)
Zr (0.750, 0.762, 0.763)

For the formation enthalpy at 0 K, the calculation gives -151 meV/atom. The volume is 23.0 Å³/atom.

# 19
VASP calculation (PBE) on a geometry-optimized Tm5Pb4 structure.

Cell lengths 8.126, 8.173, 15.545 Å; angles 90.00, 90.00, 90.00 degrees
Element x y z (fractional)
Tm (0.123, 0.341, 0.379)
Pb (0.219, 0.532, 0.542)
Tm (0.292, 0.004, 0.250)
Pb (0.719, 0.968, 0.958)
Pb (0.848, 0.347, 0.750)
Pb (0.652, 0.847, 0.250)
Pb (0.719, 0.968, 0.542)
Tm (0.963, 0.823, 0.400)
Tm (0.208, 0.504, 0.750)
Pb (0.281, 0.032, 0.042)
Tm (0.877, 0.659, 0.621)
Pb (0.219, 0.532, 0.958)
Pb (0.071, 0.873, 0.750)
Pb (0.929, 0.127, 0.250)
Pb (0.571, 0.627, 0.750)
Tm (0.963, 0.823, 0.100)
Tm (0.463, 0.677, 0.100)
Tm (0.037, 0.177, 0.900)
Pb (0.348, 0.153, 0.750)
Pb (0.781, 0.468, 0.458)
Tm (0.377, 0.841, 0.879)
Tm (0.537, 0.323, 0.600)
Pb (0.281, 0.032, 0.458)
Tm (0.123, 0.341, 0.121)
Tm (0.377, 0.841, 0.621)
Pb (0.429, 0.373, 0.250)
Tm (0.463, 0.677, 0.400)
Pb (0.152, 0.653, 0.250)
Tm (0.537, 0.323, 0.900)
Pb (0.781, 0.468, 0.042)
Tm (0.708, 0.996, 0.750)
Tm (0.792, 0.496, 0.250)
Tm (0.623, 0.159, 0.121)
Tm (0.037, 0.177, 0.600)
Tm (0.623, 0.159, 0.379)
Tm (0.877, 0.659, 0.879)

As for the spin magnetization: 0.24 μB/cell. For the formation enthalpy at 0 K, the calculation gives -474 meV/atom. The volume is 28.7 Å³/atom.

# 20
VASP calculation (PBE) on a geometry-optimized Tm3Pb structure.

Cell lengths 4.807, 4.807, 4.807 Å; angles 90.00, 90.00, 90.00 degrees
Element x y z (fractional)
Tm (0.500, 0.000, 0.500)
Pb (0.000, 0.000, 0.000)
Tm (0.000, 0.500, 0.500)
Tm (0.500, 0.500, 0.000)

For the formation enthalpy at 0 K, the calculation gives -239 meV/atom. The volume is 27.8 Å³/atom.

# 21
VASP calculation (PBE) on a geometry-optimized UPb3 structure.

Cell lengths 4.839, 4.839, 4.839 Å; angles 90.00, 90.00, 90.00 degrees
Element x y z (fractional)
U (0.000, 0.000, 0.000)
Pb (0.000, 0.500, 0.500)
Pb (0.500, 0.500, 0.000)
Pb (0.500, 0.000, 0.500)

As for the spin magnetization: 2.64 μB/cell. For the formation enthalpy at 0 K, the calculation gives 157 meV/atom. The volume is 28.3 Å³/atom.